[1]
# YHoIn2

A relaxed structure of YHoIn2 (meta-GGA r2SCAN, the Materials Project database).

Unit cell a=5.2889 b=5.2889 c=5.2889 alpha=60.00 beta=60.00 gamma=60.00
With the nearest neighbours (Å) after each atom.
Positions (direct):
Y  0.0000  0.0000  0.0000  8 In 3.24
Ho  0.5000  0.5000  0.5000  8 In 3.24
In  0.2500  0.2500  0.2500  4 Ho 3.24, 4 Y 3.24
In  0.7500  0.7500  0.7500  4 Ho 3.24, 4 Y 3.24

Values from the calculation:
- E (Ry/atom) = -1.850

=====

[2]
# BaMnO3

A relaxed structure of BaMnO3 (meta-GGA r2SCAN, the Materials Project database).

Unit cell a=12.3195 b=12.3195 c=12.3195 alpha=26.78 beta=26.78 gamma=26.78
With the nearest neighbours (Å) after each atom.
Positions (direct):
Ba  0.0000  0.0000  0.0000  12 O 2.85-2.93
Ba  0.1341  0.1341  0.1341  12 O 2.86-3.12
Ba  0.2647  0.2647  0.2647  12 O 2.87-2.95
Ba  0.7353  0.7353  0.7353  12 O 2.87-2.95
Ba  0.8659  0.8659  0.8659  12 O 2.86-3.12
Mn  0.3611  0.3611  0.3611  6 O 1.92-1.93
Mn  0.4309  0.4309  0.4309  6 O 1.88-1.92
Mn  0.5000  0.5000  0.5000  6 O 1.90
Mn  0.5691  0.5691  0.5691  6 O 1.88-1.92
Mn  0.6389  0.6389  0.6389  6 O 1.92-1.93
O  0.0000  0.5000  0.5000  2 Mn 1.92
O  0.1696  0.6141  0.6141  2 Mn 1.90-1.92
O  0.2511  0.2511  0.6891  2 Mn 1.88-1.93
O  0.2511  0.6891  0.2511  2 Mn 1.88-1.93
O  0.3109  0.7489  0.7489  2 Mn 1.88-1.93
O  0.3859  0.3859  0.8304  2 Mn 1.90-1.92
O  0.3859  0.8304  0.3859  2 Mn 1.90-1.92
O  0.5000  0.0000  0.5000  2 Mn 1.92
O  0.5000  0.5000  0.0000  2 Mn 1.92
O  0.6141  0.1696  0.6141  2 Mn 1.90-1.92
O  0.6141  0.6141  0.1696  2 Mn 1.90-1.92
O  0.6891  0.2511  0.2511  2 Mn 1.88-1.93
O  0.7489  0.3109  0.7489  2 Mn 1.88-1.93
O  0.7489  0.7489  0.3109  2 Mn 1.88-1.93
O  0.8304  0.3859  0.3859  2 Mn 1.90-1.92

Values from the calculation:
- E (Ry/atom) = -1.059

=====

[3]
# Nb3CrS6

A relaxed structure of Nb3CrS6 (meta-GGA r2SCAN, the Materials Project database).

Unit cell a=5.8043 b=5.8043 c=12.2212 alpha=90.00 beta=90.00 gamma=120.00
With the nearest neighbours (Å) after each atom.
Positions (direct):
Nb  0.0000  0.0000  0.0000  6 S 2.50
Nb  0.0000  0.0000  0.5000  6 S 2.50
Nb  0.3333  0.6667  0.0035  6 S 2.48-2.51
Nb  0.3333  0.6667  0.4965  6 S 2.48-2.51
Nb  0.6667  0.3333  0.5035  6 S 2.48-2.51
Nb  0.6667  0.3333  0.9965  6 S 2.48-2.51
Cr  0.3333  0.6667  0.7500  6 S 2.42
Cr  0.6667  0.3333  0.2500  6 S 2.42
S  0.0034  0.3348  0.6293  1 Cr 2.42, 3 Nb 2.48-2.51
S  0.0034  0.6686  0.8707  1 Cr 2.42, 3 Nb 2.48-2.51
S  0.3314  0.3348  0.8707  1 Cr 2.42, 3 Nb 2.48-2.51
S  0.3314  0.9966  0.6293  1 Cr 2.42, 3 Nb 2.48-2.51
S  0.3348  0.0034  0.3707  1 Cr 2.42, 3 Nb 2.48-2.51
S  0.3348  0.3314  0.1293  1 Cr 2.42, 3 Nb 2.48-2.51
S  0.6652  0.6686  0.6293  1 Cr 2.42, 3 Nb 2.48-2.51
S  0.6652  0.9966  0.8707  1 Cr 2.42, 3 Nb 2.48-2.51
S  0.6686  0.0034  0.1293  1 Cr 2.42, 3 Nb 2.48-2.51
S  0.6686  0.6652  0.3707  1 Cr 2.42, 3 Nb 2.48-2.51
S  0.9966  0.3314  0.3707  1 Cr 2.42, 3 Nb 2.48-2.51
S  0.9966  0.6652  0.1293  1 Cr 2.42, 3 Nb 2.48-2.51

Values from the calculation:
- E (Ry/atom) = -1.103

=====

[4]
# LiTi2Te4

A relaxed structure of LiTi2Te4 (meta-GGA r2SCAN, the Materials Project database).

Unit cell a=7.9946 b=7.9946 c=6.7357 alpha=114.74 beta=114.74 gamma=28.15
With the nearest neighbours (Å) after each atom.
Positions (direct):
Li  0.0000  0.0000  0.0000  6 Te 2.90-2.92
Ti  0.2499  0.2499  0.2606  6 Te 2.78-2.83
Ti  0.7501  0.7501  0.7394  6 Te 2.78-2.83
Te  0.1282  0.1282  0.4662  3 Ti 2.78, 1 Li 2.90
Te  0.3672  0.3672  0.0358  3 Ti 2.82-2.83, 2 Li 2.92
Te  0.6328  0.6328  0.9642  3 Ti 2.82-2.83, 2 Li 2.92
Te  0.8718  0.8718  0.5338  3 Ti 2.78, 1 Li 2.90

Values from the calculation:
- E (Ry/atom) = -1.432

=====

[5]
# Ce3IrI3

A relaxed structure of Ce3IrI3 (meta-GGA r2SCAN, the Materials Project database).

Unit cell a=10.8583 b=10.8603 c=10.8607 alpha=109.21 beta=109.16 gamma=109.24
With the nearest neighbours (Å) after each atom.
Positions (direct):
Ce  0.0000  0.0000  0.0000  2 Ir 2.88
Ce  0.9996  0.1830  0.7268  2 Ir 2.85-2.88
Ce  0.0458  0.4770  0.4772  2 Ir 2.87-2.88
Ce  0.0459  0.7507  0.2940  2 Ir 2.87-2.88
Ce  0.2284  0.2040  0.4769  2 Ir 2.86-2.87
Ce  0.2494  0.9540  0.7051  2 Ir 2.86-2.88
Ce  0.2505  0.4772  0.2727  2 Ir 2.89
Ce  0.5226  0.7495  0.7269  2 Ir 2.89-2.90
Ce  0.5234  0.9545  0.5230  2 Ir 2.87-2.88
Ce  0.7957  0.2050  0.9998  2 Ir 2.89-2.90
Ce  0.7968  0.7725  0.5233  2 Ir 2.86-2.87
Ce  0.8175  0.0008  0.2732  2 Ir 2.86-2.88
Ir  0.0232  0.2262  0.2517  6 Ce 2.86-2.90
Ir  0.0229  0.9778  0.4999  6 Ce 2.87-2.88
Ir  0.2718  0.7287  0.4998  6 Ce 2.86-2.89
Ir  0.7745  0.9775  0.7487  6 Ce 2.85-2.90
I  0.0228  0.4858  0.9915  4 Ce 3.28-3.45
I  0.0231  0.7177  0.7597  4 Ce 3.28-3.46
I  0.2826  0.4864  0.7664  4 Ce 3.29-3.47
I  0.2826  0.9773  0.2402  4 Ce 3.28-3.46
I  0.2892  0.2368  0.0085  4 Ce 3.29-3.47
I  0.5135  0.7171  0.2333  4 Ce 3.29-3.47
I  0.5148  0.9770  0.0080  4 Ce 3.28-3.46
I  0.5311  0.4688  0.4991  4 Ce 3.28-3.45
I  0.5318  0.2438  0.7594  4 Ce 3.29-3.47
I  0.7567  0.4680  0.2401  4 Ce 3.29-3.47
I  0.7630  0.2372  0.4999  4 Ce 3.29-3.45
I  0.7628  0.7107  0.9906  4 Ce 3.29-3.47

Values from the calculation:
- E (Ry/atom) = -2.396

=====

[6]
# NaErGeO4

A relaxed structure of NaErGeO4 (meta-GGA r2SCAN, the Materials Project database).

Unit cell a=11.3087 b=6.3677 c=5.2355 alpha=90.00 beta=90.00 gamma=90.00
With the nearest neighbours (Å) after each atom.
Positions (direct):
Na  0.0000  0.0000  0.0000  6 O 2.34-2.50
Na  0.0000  0.5000  0.0000  6 O 2.34-2.50
Na  0.5000  0.0000  0.5000  6 O 2.34-2.50
Na  0.5000  0.5000  0.5000  6 O 2.34-2.50
Er  0.2232  0.2500  0.4950  6 O 2.18-2.32
Er  0.2768  0.7500  0.9950  6 O 2.18-2.32
Er  0.7232  0.2500  0.0050  6 O 2.18-2.32
Er  0.7768  0.7500  0.5050  6 O 2.18-2.32
Ge  0.0969  0.7500  0.5539  4 O 1.73-1.79
Ge  0.4031  0.2500  0.0539  4 O 1.73-1.79
Ge  0.5969  0.7500  0.9461  4 O 1.73-1.79
Ge  0.9031  0.2500  0.4461  4 O 1.73-1.79
O  0.0470  0.2500  0.3245  1 Ge 1.75
O  0.1100  0.7500  0.2248  1 Ge 1.73
O  0.1743  0.5403  0.7088  1 Ge 1.79
O  0.1743  0.9597  0.7088  1 Ge 1.79
O  0.3257  0.0403  0.2088  1 Ge 1.79
O  0.3257  0.4597  0.2088  1 Ge 1.79
O  0.3900  0.2500  0.7248  1 Ge 1.73
O  0.4530  0.7500  0.8245  1 Ge 1.75
O  0.5470  0.2500  0.1755  1 Ge 1.75
O  0.6100  0.7500  0.2752  1 Ge 1.73
O  0.6743  0.5403  0.7912  1 Ge 1.79
O  0.6743  0.9597  0.7912  1 Ge 1.79
O  0.8257  0.0403  0.2912  1 Ge 1.79
O  0.8257  0.4597  0.2912  1 Ge 1.79
O  0.8900  0.2500  0.7752  1 Ge 1.73
O  0.9530  0.7500  0.6755  1 Ge 1.75

Values from the calculation:
- E (Ry/atom) = -0.991

=====

[7]
# LiSm2Os

A relaxed structure of LiSm2Os (meta-GGA r2SCAN, the Materials Project database).

Unit cell a=4.9773 b=4.9773 c=4.9773 alpha=60.00 beta=60.00 gamma=60.00
With the nearest neighbours (Å) after each atom.
Positions (direct):
Li  0.0000  0.0000  0.0000  8 Sm 3.05
Sm  0.2500  0.2500  0.2500  4 Os 3.05, 4 Li 3.05
Sm  0.7500  0.7500  0.7500  4 Os 3.05, 4 Li 3.05
Os  0.5000  0.5000  0.5000  8 Sm 3.05

Values from the calculation:
- E (Ry/atom) = -2.123

=====

[8]
# SmAlPd

A relaxed structure of SmAlPd (meta-GGA r2SCAN, the Materials Project database).

Unit cell a=7.0404 b=4.5068 c=7.7814 alpha=90.00 beta=90.00 gamma=90.00
With the nearest neighbours (Å) after each atom.
Positions (direct):
Sm  0.0365  0.2500  0.1779  5 Pd 2.86-3.19, 1 Al 3.09
Sm  0.4635  0.7500  0.6779  5 Pd 2.86-3.19, 1 Al 3.09
Sm  0.5365  0.2500  0.3221  5 Pd 2.86-3.19, 1 Al 3.09
Sm  0.9635  0.7500  0.8221  5 Pd 2.86-3.19, 1 Al 3.09
Al  0.1407  0.2500  0.5635  4 Pd 2.59-2.72
Al  0.3593  0.7500  0.0635  4 Pd 2.59-2.72
Al  0.6407  0.2500  0.9365  4 Pd 2.59-2.72
Al  0.8593  0.7500  0.4365  4 Pd 2.59-2.72
Pd  0.2219  0.7500  0.3818  4 Al 2.59-2.72, 1 Sm 2.86
Pd  0.2781  0.2500  0.8818  4 Al 2.59-2.72, 1 Sm 2.86
Pd  0.7219  0.7500  0.1182  4 Al 2.59-2.72, 1 Sm 2.86
Pd  0.7781  0.2500  0.6182  4 Al 2.59-2.72, 1 Sm 2.86

Values from the calculation:
- E (Ry/atom) = -1.521

=====

[9]
# CaHg

A relaxed structure of CaHg (meta-GGA r2SCAN, the Materials Project database).

Unit cell a=3.7547 b=3.7547 c=3.7547 alpha=90.00 beta=90.00 gamma=90.00
With the nearest neighbours (Å) after each atom.
Positions (direct):
Ca  0.0000  0.0000  0.0000  8 Hg 3.25
Hg  0.5000  0.5000  0.5000  8 Ca 3.25

Values from the calculation:
- E (Ry/atom) = -2.116

=====

Number 1: energy of formation -2.351 eV/f.u., volume 105 Å³/cell. Number 2: energy of formation -12.958 eV/f.u., volume 335 Å³/cell. Number 3: energy of formation -12.633 eV/f.u., volume 357 Å³/cell. Number 4: energy of formation -6.477 eV/f.u., volume 183 Å³/cell. Number 5: energy of formation -9.649 eV/f.u., volume 996 Å³/cell. Number 6: energy of formation -19.124 eV/f.u., volume 377 Å³/cell. Number 7: energy of formation -0.713 eV/f.u., volume 87 Å³/cell. Number 8: energy of formation -2.641 eV/f.u., volume 247 Å³/cell. Number 9: energy of formation -1.186 eV/f.u., volume 53 Å³/cell.